Entry 1:
Material: Mg2Sn
Method: DFT, PBE
State: optimized geometry

CIF file:
```
data_Mg2Sn
_cell_length_a 3.3085
_cell_length_b 3.3085
_cell_length_c 15.2604
_cell_angle_alpha 90.00
_cell_angle_beta 90.00
_cell_angle_gamma 120.00
_symmetry_space_group_name_H-M 'P 1'
_symmetry_Int_Tables_number 1
_symmetry_space_group_name_Hall 'P 1'
loop_
_atom_site_label
_atom_site_fract_x
_atom_site_fract_y
_atom_site_fract_z
Mg1 0.0000 0.0000 0.0000
Mg2 0.0000 0.0000 0.3339
Mg3 0.0000 0.0000 0.6661
Mg4 0.6667 0.3333 0.5000
Sn1 0.6667 0.3333 0.1667
Sn2 0.6667 0.3333 0.8333
```

Values from the calculation:
Space group = P-6m2
DFT total energy = -2.4266 eV per atom
Total magnetization = 0.00 μB per cell

=====

Entry 2:
Material: RbAuS2O8
Method: DFT, PBE
State: optimized geometry

CIF file:
```
data_RbAuS2O8
_cell_length_a 4.3562
_cell_length_b 5.1682
_cell_length_c 9.0377
_cell_angle_alpha 76.96
_cell_angle_beta 88.31
_cell_angle_gamma 74.31
_symmetry_space_group_name_H-M 'P 1'
_symmetry_Int_Tables_number 1
_symmetry_space_group_name_Hall 'P 1'
loop_
_atom_site_label
_atom_site_fract_x
_atom_site_fract_y
_atom_site_fract_z
Rb1 0.0000 0.0000 0.0000
Au1 0.0000 0.5000 0.5000
S1 0.4494 0.6235 0.7311
S2 0.5506 0.3765 0.2689
O1 0.2210 0.7349 0.5892
O2 0.2518 0.5887 0.3103
O3 0.3200 0.4619 0.8578
O4 0.4766 0.1333 0.2425
O5 0.5234 0.8667 0.7575
O6 0.6800 0.5381 0.1422
O7 0.7482 0.4113 0.6897
O8 0.7790 0.2651 0.4108
```

Values from the calculation:
Space group = P-1
DFT total energy = -5.5663 eV per atom
Total magnetization = 0.00 μB per cell

=====

Entry 3:
Material: Ti2AlCr
Method: DFT, PBE
State: optimized geometry

CIF file:
```
data_Ti2AlCr
_cell_length_a 4.4554
_cell_length_b 4.4554
_cell_length_c 4.4554
_cell_angle_alpha 60.00
_cell_angle_beta 60.00
_cell_angle_gamma 60.00
_symmetry_space_group_name_H-M 'P 1'
_symmetry_Int_Tables_number 1
_symmetry_space_group_name_Hall 'P 1'
loop_
_atom_site_label
_atom_site_fract_x
_atom_site_fract_y
_atom_site_fract_z
Ti1 0.0000 0.0000 0.0000
Ti2 0.2500 0.2500 0.2500
Al1 0.5000 0.5000 0.5000
Cr1 0.7500 0.7500 0.7500
```

Values from the calculation:
Space group = F-43m
DFT total energy = -7.4304 eV per atom
Total magnetization = 0.85 μB per cell